(1)
A plane-wave DFT calculation with GGA+U was carried out for an optimized crystal structure of V2Cu3H6O11.

- VASP energy: -0.2120 Ha/atom
- Calculated formation energy: -1.482 eV/atom
- ΔE to the lowest computed polymorph: 4 meV/atom
- Space group: Cc, No. 9
- Total moment: 6.00 μB/cell
- E (MP2020): -0.4605 Ry per atom

Unit cell a=5.952 b=8.979 c=10.039 alpha=70.36 beta=72.76 gamma=70.65
Element x y z (fractional)
H: 0.125 0.979 0.281
H: 0.332 0.604 0.954
H: 0.377 0.020 0.721
H: 0.615 0.479 0.781
H: 0.933 0.343 0.080
H: 0.387 0.878 0.560
H: 0.882 0.520 0.221
H: 0.645 0.843 0.580
H: 0.176 0.378 0.060
H: 0.856 0.143 0.426
H: 0.110 0.104 0.454
H: 0.575 0.643 0.926
O: 0.553 0.250 0.250
O: 0.898 0.655 0.522
O: 0.001 0.425 0.089
O: 0.308 0.096 0.787
O: 0.354 0.676 0.528
O: 0.947 0.750 0.750
O: 0.147 0.324 0.473
O: 0.682 0.910 0.233
O: 0.325 0.590 0.268
O: 0.817 0.090 0.768
O: 0.193 0.904 0.213
O: 0.809 0.596 0.287
O: 0.486 0.925 0.589
O: 0.926 0.155 0.022
O: 0.443 0.176 0.028
O: 0.603 0.344 0.479
O: 0.174 0.410 0.733
O: 0.013 0.060 0.421
O: 0.575 0.844 0.979
O: 0.690 0.404 0.713
O: 0.057 0.824 0.973
O: 0.506 0.560 0.921
Cu: 0.752 0.499 0.500
Cu: 0.503 0.752 0.247
Cu: 0.250 0.999 0.000
Cu: 0.001 0.749 0.255
Cu: 0.498 0.252 0.747
Cu: 0.996 0.249 0.755
V: 0.099 0.620 0.631
V: 0.850 0.880 0.870
V: 0.401 0.380 0.370
V: 0.650 0.120 0.131


(2)
A plane-wave DFT calculation with GGA+U was carried out for an optimized crystal structure of BaNdMgCo2O6.

- VASP energy: -0.2196 Ha/atom
- Calculated formation energy: -1.905 eV/atom
- ΔE to the lowest computed polymorph: 324 meV/atom
- Space group: Pmmm, No. 47
- Total moment: 5.70 μB/cell
- E (MP2020): -0.4887 Ry per atom

Unit cell a=3.778 b=5.570 c=7.786 alpha=90.00 beta=90.00 gamma=90.00
Element x y z (fractional)
Ba: 0.000 0.000 0.500
Co: 0.500 0.500 0.734
Co: 0.500 0.500 0.266
O: 0.500 0.000 0.200
O: 0.000 0.500 0.242
O: 0.500 0.500 0.500
O: 0.000 0.500 0.758
O: 0.500 0.500 0.000
O: 0.500 0.000 0.800
Mg: 0.000 0.500 0.000
Nd: 0.000 0.000 0.000


(3)
A plane-wave DFT calculation with GGA+U was carried out for an optimized crystal structure of LaMo2O5.

- VASP energy: -0.2757 Ha/atom
- Calculated formation energy: -2.311 eV/atom
- Space group: P6_3mc, No. 186
- Total moment: 48.80 μB/cell
- E (MP2020): -0.6418 Ry per atom

Unit cell a=8.894 b=8.894 c=18.968 alpha=90.00 beta=90.00 gamma=120.00
Element x y z (fractional)
O: 0.008 0.333 0.491
O: 0.333 0.667 0.241
O: 0.667 0.333 0.894
O: 0.667 0.992 0.491
O: 0.333 0.667 0.394
O: 0.667 0.333 0.741
O: 0.667 0.675 0.491
O: 0.566 0.131 0.617
O: 0.210 0.105 0.618
O: 0.995 0.664 0.746
O: 0.667 0.333 0.234
O: 0.225 0.451 0.610
O: 0.675 0.667 0.991
O: 0.549 0.775 0.610
O: 0.331 0.336 0.246
O: 0.336 0.005 0.746
O: 0.333 0.667 0.734
O: 0.227 0.454 0.891
O: 0.992 0.325 0.991
O: 0.227 0.773 0.891
O: 0.675 0.008 0.991
O: 0.434 0.869 0.117
O: 0.333 0.008 0.991
O: 0.336 0.331 0.746
O: 0.008 0.675 0.491
O: 0.992 0.667 0.991
O: 0.105 0.210 0.118
O: 0.775 0.549 0.110
O: 0.664 0.669 0.246
O: 0.773 0.546 0.391
O: 0.895 0.790 0.618
O: 0.333 0.325 0.991
O: 0.895 0.105 0.618
O: 0.325 0.992 0.491
O: 0.451 0.225 0.110
O: 0.898 0.795 0.870
O: 0.454 0.227 0.391
O: 0.773 0.227 0.391
O: 0.546 0.773 0.891
O: 0.105 0.895 0.118
O: 0.669 0.005 0.746
O: 0.434 0.566 0.117
O: 0.775 0.225 0.110
O: 0.566 0.434 0.617
O: 0.225 0.775 0.610
O: 0.102 0.205 0.370
O: 0.005 0.336 0.246
O: 0.102 0.898 0.370
O: 0.331 0.995 0.246
O: 0.869 0.434 0.617
O: 0.664 0.995 0.246
O: 0.790 0.895 0.118
O: 0.669 0.664 0.746
O: 0.898 0.102 0.870
O: 0.995 0.331 0.746
O: 0.795 0.898 0.370
O: 0.131 0.566 0.117
O: 0.205 0.102 0.870
O: 0.325 0.333 0.491
O: 0.005 0.669 0.246
La: 0.000 0.000 0.273
La: 0.667 0.333 0.499
La: 0.495 0.505 0.349
La: 0.505 0.495 0.849
La: 0.000 0.000 0.773
La: 0.333 0.667 0.512
La: 0.495 0.991 0.349
La: 0.667 0.333 0.012
La: 0.991 0.495 0.849
La: 0.009 0.505 0.349
La: 0.505 0.009 0.849
La: 0.333 0.667 0.999
Mo: 0.449 0.897 0.676
Mo: 0.212 0.106 0.440
Mo: 0.215 0.108 0.053
Mo: 0.785 0.570 0.684
Mo: 0.785 0.892 0.553
Mo: 0.897 0.449 0.176
Mo: 0.449 0.551 0.676
Mo: 0.785 0.215 0.684
Mo: 0.215 0.430 0.184
Mo: 0.570 0.785 0.184
Mo: 0.894 0.788 0.440
Mo: 0.103 0.551 0.676
Mo: 0.106 0.894 0.940
Mo: 0.894 0.106 0.440
Mo: 0.215 0.785 0.184
Mo: 0.108 0.892 0.553
Mo: 0.892 0.785 0.053
Mo: 0.788 0.894 0.940
Mo: 0.430 0.215 0.684
Mo: 0.551 0.449 0.176
Mo: 0.106 0.212 0.940
Mo: 0.108 0.215 0.553
Mo: 0.892 0.108 0.053
Mo: 0.551 0.103 0.176


(4)
A plane-wave DFT calculation with GGA+U was carried out for an optimized crystal structure of Ti3Cr2CoP6O24.

- VASP energy: -0.2830 Ha/atom
- Calculated formation energy: -2.722 eV/atom
- Space group: R3, No. 146
- Total moment: 11.31 μB/cell
- E (MP2020): -0.6111 Ry per atom

Unit cell a=8.647 b=8.647 c=8.647 alpha=59.94 beta=59.94 gamma=59.94
Element x y z (fractional)
P: 0.458 0.752 0.043
P: 0.043 0.458 0.752
P: 0.957 0.543 0.250
P: 0.752 0.043 0.458
P: 0.250 0.957 0.543
P: 0.543 0.250 0.957
Ti: 0.646 0.646 0.646
Ti: 0.144 0.144 0.144
Ti: 0.355 0.355 0.355
O: 0.418 0.766 0.555
O: 0.235 0.434 0.584
O: 0.378 0.194 0.000
O: 0.500 0.695 0.878
O: 0.878 0.500 0.695
O: 0.434 0.584 0.235
O: 0.807 0.013 0.613
O: 0.013 0.613 0.807
O: 0.695 0.878 0.500
O: 0.494 0.313 0.120
O: 0.313 0.120 0.494
O: 0.766 0.555 0.418
O: 0.584 0.235 0.434
O: 0.947 0.734 0.089
O: 0.915 0.058 0.261
O: 0.734 0.089 0.947
O: 0.000 0.378 0.194
O: 0.613 0.807 0.013
O: 0.089 0.947 0.734
O: 0.194 0.000 0.378
O: 0.555 0.418 0.766
O: 0.261 0.915 0.058
O: 0.120 0.494 0.313
O: 0.058 0.261 0.915
Co: 0.855 0.855 0.855
Cr: 0.499 0.499 0.499
Cr: 0.997 0.997 0.997


(5)
A plane-wave DFT calculation with GGA+U was carried out for an optimized crystal structure of Li2TiMnO4.

- VASP energy: -0.2647 Ha/atom
- Calculated formation energy: -2.672 eV/atom
- ΔE to the lowest computed polymorph: 0 meV/atom
- Total moment: 0.00 μB/cell
- E (MP2020): -0.5700 Ry per atom

Unit cell a=5.796 b=10.279 c=5.796 alpha=73.62 beta=90.01 gamma=73.62
Element x y z (fractional)
Mn: 0.250 0.500 0.750
Mn: 0.000 0.000 0.000
Mn: 0.500 0.000 0.500
Mn: 0.750 0.500 0.250
O: 0.522 0.456 0.022
O: 0.978 0.544 0.978
O: 0.022 0.456 0.522
O: 0.228 0.044 0.728
O: 0.626 0.749 0.126
O: 0.478 0.544 0.478
O: 0.126 0.749 0.626
O: 0.728 0.044 0.228
O: 0.624 0.751 0.624
O: 0.876 0.249 0.876
O: 0.772 0.956 0.772
O: 0.124 0.751 0.124
O: 0.874 0.251 0.374
O: 0.374 0.251 0.874
O: 0.272 0.956 0.272
O: 0.376 0.249 0.376
Li: 0.750 0.500 0.750
Li: 0.250 0.500 0.250
Li: 0.500 0.000 0.000
Li: 0.375 0.750 0.875
Li: 0.125 0.250 0.125
Li: 0.875 0.750 0.375
Li: 0.000 0.000 0.500
Li: 0.625 0.250 0.625
Ti: 0.875 0.750 0.875
Ti: 0.625 0.250 0.125
Ti: 0.375 0.750 0.375
Ti: 0.125 0.250 0.625


(6)
A plane-wave DFT calculation with GGA+U was carried out for an optimized crystal structure of Eu6WO12.

- VASP energy: -0.3013 Ha/atom
- Calculated formation energy: -1.821 eV/atom
- Space group: R-3, No. 148
- Total moment: 0.11 μB/cell
- E (MP2020): -0.6517 Ry per atom

Unit cell a=6.630 b=6.630 c=6.630 alpha=98.33 beta=98.33 gamma=98.33
Element x y z (fractional)
O: 0.967 0.073 0.290
O: 0.406 0.566 0.824
O: 0.290 0.967 0.073
O: 0.594 0.434 0.176
O: 0.176 0.594 0.434
O: 0.033 0.927 0.710
O: 0.927 0.710 0.033
O: 0.824 0.406 0.566
O: 0.710 0.033 0.927
O: 0.434 0.176 0.594
O: 0.073 0.290 0.967
O: 0.566 0.824 0.406
W: 0.000 0.000 0.000
Eu: 0.303 0.606 0.139
Eu: 0.394 0.861 0.697
Eu: 0.697 0.394 0.861
Eu: 0.861 0.697 0.394
Eu: 0.139 0.303 0.606
Eu: 0.606 0.139 0.303


(7)
A plane-wave DFT calculation with GGA+U was carried out for an optimized crystal structure of Li9Mn2Co5O16.

- VASP energy: -0.2148 Ha/atom
- Calculated formation energy: -1.853 eV/atom
- ΔE to the lowest computed polymorph: 11 meV/atom
- Space group: P1, No. 1
- Total moment: 8.00 μB/cell
- E (MP2020): -0.4812 Ry per atom

Unit cell a=5.827 b=5.877 c=8.629 alpha=88.25 beta=70.91 gamma=87.21
Element x y z (fractional)
Li: 0.244 0.997 0.496
Li: 0.875 0.747 0.744
Li: 0.006 0.503 0.003
Li: 0.491 0.504 0.005
Li: 0.380 0.751 0.747
Li: 0.129 0.751 0.254
Li: 0.761 0.997 0.496
Li: 0.127 0.250 0.255
Li: 0.619 0.250 0.254
O: 0.744 0.223 0.987
O: 0.982 0.258 0.510
O: 0.395 0.991 0.237
O: 0.393 0.521 0.260
O: 0.142 0.484 0.743
O: 0.482 0.269 0.514
O: 0.644 0.487 0.740
O: 0.867 0.984 0.235
O: 0.751 0.770 0.009
O: 0.861 0.508 0.259
O: 0.241 0.222 0.993
O: 0.099 0.009 0.763
O: 0.528 0.749 0.486
O: 0.017 0.733 0.501
O: 0.599 0.014 0.762
O: 0.253 0.778 0.998
Co: 0.761 0.506 0.497
Co: 0.250 0.504 0.500
Co: 0.870 0.247 0.748
Co: 0.495 0.997 0.000
Co: 0.373 0.250 0.749
Mn: 0.999 0.995 0.001
Mn: 0.623 0.750 0.253


(8)
A plane-wave DFT calculation with GGA+U was carried out for an optimized crystal structure of Ba2Tl2Co3O10.

- VASP energy: -0.1965 Ha/atom
- Calculated formation energy: -1.371 eV/atom
- Space group: P1, No. 1
- Total moment: 10.42 μB/cell
- E (MP2020): -0.4439 Ry per atom

Unit cell a=3.695 b=3.697 c=19.818 alpha=93.49 beta=94.69 gamma=90.00
Element x y z (fractional)
O: 0.634 0.686 0.334
O: 0.061 0.634 0.187
O: 0.403 0.024 0.994
O: 0.761 0.762 0.545
O: 0.909 0.529 0.004
O: 0.845 0.358 0.819
O: 0.284 0.306 0.665
O: 0.555 0.130 0.174
O: 0.220 0.230 0.454
O: 0.345 0.857 0.818
Tl: 0.234 0.269 0.561
Tl: 0.678 0.725 0.438
Co: 0.407 0.525 0.000
Co: 0.552 0.629 0.169
Co: 0.352 0.364 0.833
Ba: 0.803 0.824 0.717
Ba: 0.107 0.168 0.282


(9)
A plane-wave DFT calculation with GGA+U was carried out for an optimized crystal structure of Ba2LiV2Si4O14.

- VASP energy: -0.2718 Ha/atom
- Calculated formation energy: -2.968 eV/atom
- ΔE to the lowest computed polymorph: 63 meV/atom
- Space group: P1, No. 1
- Total moment: 1.00 μB/cell
- E (MP2020): -0.5853 Ry per atom

Unit cell a=5.565 b=7.211 c=8.415 alpha=88.26 beta=113.19 gamma=94.09
Element x y z (fractional)
O: 0.509 0.516 0.999
O: 0.654 0.248 0.245
O: 0.483 0.554 0.302
O: 0.380 0.934 0.285
O: 0.962 0.562 0.283
O: 0.606 0.066 0.723
O: 0.549 0.961 0.023
O: 0.023 0.276 0.012
O: 0.986 0.735 0.933
O: 0.354 0.755 0.723
O: 0.090 0.440 0.700
O: 0.132 0.071 0.747
O: 0.896 0.950 0.357
O: 0.585 0.438 0.711
Si: 0.410 0.975 0.813
Si: 0.392 0.527 0.790
Si: 0.657 0.475 0.206
Si: 0.618 0.017 0.225
V: 0.905 0.257 0.801
V: 0.168 0.699 0.146
Ba: 0.236 0.250 0.410
Ba: 0.785 0.759 0.612
Li: 0.147 0.786 0.428


(10)
A plane-wave DFT calculation with GGA+U was carried out for an optimized crystal structure of V2F9.

- VASP energy: -0.1970 Ha/atom
- Calculated formation energy: -2.830 eV/atom
- ΔE to the lowest computed polymorph: 0 meV/atom
- Space group: P6_3cm, No. 185
- Total moment: 2.00 μB/cell
- E (MP2020): -0.4445 Ry per atom

Unit cell a=5.159 b=5.159 c=14.418 alpha=90.00 beta=90.00 gamma=120.00
Element x y z (fractional)
F: 0.000 0.731 0.245
F: 0.693 0.693 0.409
F: 0.307 0.307 0.909
F: 0.000 0.705 0.594
F: 0.307 0.000 0.409
F: 0.295 0.295 0.594
F: 0.705 0.705 0.094
F: 0.731 0.000 0.245
F: 0.269 0.269 0.245
F: 0.000 0.269 0.745
F: 0.295 0.000 0.094
F: 0.705 0.000 0.594
F: 0.000 0.295 0.094
F: 0.731 0.731 0.745
F: 0.693 0.000 0.909
F: 0.269 0.000 0.745
F: 0.000 0.307 0.409
F: 0.000 0.693 0.909
V: 0.000 0.000 0.855
V: 0.000 0.000 0.152
V: 0.000 0.000 0.652
V: 0.000 0.000 0.355


(11)
A plane-wave DFT calculation with GGA+U was carried out for an optimized crystal structure of BaSmCr4O12.

- VASP energy: -0.2564 Ha/atom
- Calculated formation energy: -2.066 eV/atom
- Space group: P4/mmm, No. 123
- Total moment: 5.00 μB/cell
- E (MP2020): -0.5790 Ry per atom

Unit cell a=5.454 b=5.454 c=7.524 alpha=90.00 beta=90.00 gamma=90.00
Element x y z (fractional)
O: 0.761 0.761 0.234
O: 0.761 0.239 0.234
O: 0.239 0.239 0.234
O: 0.239 0.761 0.766
O: 0.000 0.500 0.000
O: 0.000 0.500 0.500
O: 0.761 0.239 0.766
O: 0.761 0.761 0.766
O: 0.500 0.000 0.500
O: 0.239 0.761 0.234
O: 0.500 0.000 0.000
O: 0.239 0.239 0.766
Sm: 0.000 0.000 0.000
Cr: 0.000 0.500 0.750
Cr: 0.500 0.000 0.250
Cr: 0.000 0.500 0.250
Cr: 0.500 0.000 0.750
Ba: 0.500 0.500 0.500


The lowest E (MP2020) belongs to which entry?
Eu6WO12


E (MP2020) of number 6 (Eu6WO12)?
-0.6517 Ry per atom


What did the third record say?
A plane-wave DFT calculation with GGA+U was carried out for an optimized crystal structure of LaMo2O5.

- VASP energy: -0.2757 Ha/atom
- Calculated formation energy: -2.311 eV/atom
- Space group: P6_3mc, No. 186
- Total moment: 48.80 μB/cell
- E (MP2020): -0.6418 Ry per atom

Unit cell a=8.894 b=8.894 c=18.968 alpha=90.00 beta=90.00 gamma=120.00
Element x y z (fractional)
O: 0.008 0.333 0.491
O: 0.333 0.667 0.241
O: 0.667 0.333 0.894
O: 0.667 0.992 0.491
O: 0.333 0.667 0.394
O: 0.667 0.333 0.741
O: 0.667 0.675 0.491
O: 0.566 0.131 0.617
O: 0.210 0.105 0.618
O: 0.995 0.664 0.746
O: 0.667 0.333 0.234
O: 0.225 0.451 0.610
O: 0.675 0.667 0.991
O: 0.549 0.775 0.610
O: 0.331 0.336 0.246
O: 0.336 0.005 0.746
O: 0.333 0.667 0.734
O: 0.227 0.454 0.891
O: 0.992 0.325 0.991
O: 0.227 0.773 0.891
O: 0.675 0.008 0.991
O: 0.434 0.869 0.117
O: 0.333 0.008 0.991
O: 0.336 0.331 0.746
O: 0.008 0.675 0.491
O: 0.992 0.667 0.991
O: 0.105 0.210 0.118
O: 0.775 0.549 0.110
O: 0.664 0.669 0.246
O: 0.773 0.546 0.391
O: 0.895 0.790 0.618
O: 0.333 0.325 0.991
O: 0.895 0.105 0.618
O: 0.325 0.992 0.491
O: 0.451 0.225 0.110
O: 0.898 0.795 0.870
O: 0.454 0.227 0.391
O: 0.773 0.227 0.391
O: 0.546 0.773 0.891
O: 0.105 0.895 0.118
O: 0.669 0.005 0.746
O: 0.434 0.566 0.117
O: 0.775 0.225 0.110
O: 0.566 0.434 0.617
O: 0.225 0.775 0.610
O: 0.102 0.205 0.370
O: 0.005 0.336 0.246
O: 0.102 0.898 0.370
O: 0.331 0.995 0.246
O: 0.869 0.434 0.617
O: 0.664 0.995 0.246
O: 0.790 0.895 0.118
O: 0.669 0.664 0.746
O: 0.898 0.102 0.870
O: 0.995 0.331 0.746
O: 0.795 0.898 0.370
O: 0.131 0.566 0.117
O: 0.205 0.102 0.870
O: 0.325 0.333 0.491
O: 0.005 0.669 0.246
La: 0.000 0.000 0.273
La: 0.667 0.333 0.499
La: 0.495 0.505 0.349
La: 0.505 0.495 0.849
La: 0.000 0.000 0.773
La: 0.333 0.667 0.512
La: 0.495 0.991 0.349
La: 0.667 0.333 0.012
La: 0.991 0.495 0.849
La: 0.009 0.505 0.349
La: 0.505 0.009 0.849
La: 0.333 0.667 0.999
Mo: 0.449 0.897 0.676
Mo: 0.212 0.106 0.440
Mo: 0.215 0.108 0.053
Mo: 0.785 0.570 0.684
Mo: 0.785 0.892 0.553
Mo: 0.897 0.449 0.176
Mo: 0.449 0.551 0.676
Mo: 0.785 0.215 0.684
Mo: 0.215 0.430 0.184
Mo: 0.570 0.785 0.184
Mo: 0.894 0.788 0.440
Mo: 0.103 0.551 0.676
Mo: 0.106 0.894 0.940
Mo: 0.894 0.106 0.440
Mo: 0.215 0.785 0.184
Mo: 0.108 0.892 0.553
Mo: 0.892 0.785 0.053
Mo: 0.788 0.894 0.940
Mo: 0.430 0.215 0.684
Mo: 0.551 0.449 0.176
Mo: 0.106 0.212 0.940
Mo: 0.108 0.215 0.553
Mo: 0.892 0.108 0.053
Mo: 0.551 0.103 0.176


Among the records above, which one has the highest VASP energy?
Ba2Tl2Co3O10